# CaNi5H | the Materials Project database | PBE | optimized geometry
# Formation enthalpy at 0 K   -1.00 eV per formula unit
# ρ   6.52 g/cm³
# Space group   Cmmm, No. 65
data_CaNi5H
_cell_length_a 5.0875
_cell_length_b 5.0875
_cell_length_c 3.9018
_cell_angle_alpha 90.00
_cell_angle_beta 90.00
_cell_angle_gamma 122.47
_symmetry_space_group_name_H-M 'P 1'
_symmetry_Int_Tables_number 1
loop_
_symmetry_equiv_pos_as_xyz
'x,y,z'
loop_
_atom_site_label
_atom_site_fract_x
_atom_site_fract_y
_atom_site_fract_z
Ca1 0.0000 0.0000 0.0000
Ni1 0.6806 0.3194 0.0000
Ni2 0.3194 0.6806 0.0000
Ni3 0.5000 0.5000 0.5000
Ni4 0.5000 0.0000 0.5000
Ni5 0.0000 0.5000 0.5000
H1 0.5000 0.5000 0.0000